Entry 1:
A plane-wave DFT calculation with PBE-GGA was carried out for ScCo after structural relaxation.

Cell and atoms, written as POSCAR:
```
ScCo
1.0
3.120 0.000 0.000
0.000 3.120 0.000
0.000 0.000 3.120
Sc Co
1 1
Direct
0.500 0.500 0.500
0.000 0.000 0.000
```

Properties
formation enthalpy at 0 K = -0.371 eV per atom
calculated total energy = -7.09 eV per atom
space-group type = No. 221

Entry 2:
A plane-wave DFT calculation with PBE-GGA was carried out for Sc2Co3Si5 after structural relaxation.

Cell and atoms, written as POSCAR:
```
Sc2Co3Si5
1.0
-2.696 4.705 5.449
2.696 -4.705 5.449
2.696 4.705 -5.449
Co Si Sc
6 10 4
Direct
0.252 0.862 0.390
0.472 0.362 0.110
0.528 0.638 0.890
0.000 0.250 0.250
0.748 0.138 0.610
0.000 0.750 0.750
0.225 0.975 0.750
0.775 0.525 0.750
0.500 0.750 0.250
0.775 0.025 0.250
0.063 0.901 0.162
0.225 0.475 0.250
0.937 0.099 0.838
0.500 0.250 0.750
0.262 0.599 0.662
0.738 0.401 0.338
0.132 0.365 0.767
0.598 0.865 0.733
0.868 0.635 0.233
0.402 0.135 0.267
```

Properties
formation enthalpy at 0 K = -0.690 eV per atom
distance to the lowest polymorph of the same formula = 15 meV per atom
calculated total energy = -6.84 eV per atom
M_tot = 0.0 μB/f.u.
space-group type = No. 72

Entry 3:
A plane-wave DFT calculation with PBE-GGA was carried out for Sc5Co4Si10 after structural relaxation.

Cell and atoms, written as POSCAR:
```
Sc5Co4Si10
1.0
-5.657 9.391 4.911
-9.334 -7.051 2.731
1.646 -0.830 3.484
Sc Co Si
10 8 20
Direct
0.000 0.000 0.000
0.388 0.112 0.500
0.676 0.176 0.500
0.324 0.824 0.500
0.824 0.676 0.500
0.112 0.612 0.500
0.176 0.324 0.500
0.500 0.500 0.000
0.888 0.388 0.500
0.612 0.888 0.500
0.024 0.246 0.000
0.524 0.254 0.000
0.254 0.476 0.000
0.476 0.746 0.000
0.746 0.524 0.000
0.246 0.976 0.000
0.976 0.754 0.000
0.754 0.024 0.000
0.657 0.698 0.000
0.302 0.657 0.000
0.664 0.502 0.500
0.198 0.157 0.000
0.157 0.802 0.000
0.432 0.932 0.000
0.502 0.336 0.500
0.932 0.568 0.000
0.843 0.198 0.000
0.343 0.302 0.000
0.002 0.164 0.500
0.836 0.002 0.500
0.568 0.068 0.000
0.498 0.664 0.500
0.068 0.432 0.000
0.998 0.836 0.500
0.698 0.343 0.000
0.336 0.498 0.500
0.164 0.998 0.500
0.802 0.843 0.000
```

Properties
formation enthalpy at 0 K = -0.702 eV per atom
calculated total energy = -6.76 eV per atom
space-group type = No. 127